(1)
First-principles (PBE) data for ScHCl after structural relaxation, as listed in Materials Project.

```
ScHCl
1.0
9.2966 -1.7551 0.0000
9.2966 1.7551 0.0000
8.9653 0.0000 3.0217
Sc H Cl
2 2 2
Cartesian
24.2145 0.0000 2.6551
3.3440 0.0000 0.3667
22.2223 0.0000 2.4366
5.3362 0.0000 0.5851
10.9248 0.0000 1.1979
16.6337 0.0000 1.8239
```

Calculated formation energy = -4.7 eV per formula unit
Energy with MP2020 corrections = -32.5 eV/cell
DFT total energy = -5.218 eV per atom



(2)
First-principles (PBE) data for SrHCl after structural relaxation, as listed in Materials Project.

```
SrHCl
1.0
4.1279 0.0000 0.0000
0.0000 4.1279 0.0000
0.0000 0.0000 7.0373
Sr H Cl
2 2 2
Cartesian
0.0000 2.0640 5.6289
2.0640 0.0000 1.4084
2.0640 2.0640 0.0000
0.0000 0.0000 0.0000
2.0640 0.0000 4.5760
0.0000 2.0640 2.4614
```

Calculated formation energy = -5.3 eV per formula unit
Energy with MP2020 corrections = -24.4 eV/cell
DFT total energy = -3.865 eV per atom



(3)
First-principles (PBE) data for Sr2HCl2 after structural relaxation, as listed in Materials Project.

```
Sr2HCl2
1.0
5.7612 0.0000 0.0000
0.0000 5.7612 0.0000
0.0000 0.0000 13.7340
Sr H Cl
2 1 2
Cartesian
2.8806 2.8806 2.2862
2.8806 2.8806 11.4478
2.8806 2.8806 0.0000
2.8806 2.8806 8.8999
2.8806 2.8806 4.8341
```

Calculated formation energy = -4.5 eV per formula unit
Energy with MP2020 corrections = -15.0 eV/cell
DFT total energy = -2.745 eV per atom



(4)
First-principles (PBE) data for ZrHCl after structural relaxation, as listed in Materials Project.

```
ZrHCl
1.0
1.6796 -2.9091 0.0000
1.6796 2.9091 0.0000
0.0000 0.0000 9.9971
Zr H Cl
2 2 2
Cartesian
1.6796 0.9697 6.4894
1.6796 -0.9697 3.5077
1.6796 0.9697 4.4378
1.6796 -0.9697 5.5593
1.6796 0.9697 1.7415
1.6796 -0.9697 8.2555
```

Calculated formation energy = -3.7 eV per formula unit
Energy with MP2020 corrections = -35.0 eV/cell
DFT total energy = -5.620 eV per atom



(5)
First-principles (PBE) data for NaHf3N3Cl3 after structural relaxation, as listed in Materials Project.

```
NaHf3N3Cl3
1.0
5.4809 3.1637 0.0000
-5.4809 3.1637 0.0000
0.0000 2.1113 10.1850
Na Hf N Cl
2 6 6 6
Cartesian
1.8271 3.1637 0.0000
-1.8271 3.1637 0.0000
0.0000 2.1140 3.9097
-1.8298 5.2722 3.9058
1.8298 5.2722 3.9058
-1.8298 3.1666 6.2793
1.8298 3.1666 6.2793
0.0000 6.3248 6.2753
0.0000 2.1105 6.0238
-1.8273 5.2744 6.0136
1.8273 5.2744 6.0136
-1.8273 3.1644 4.1715
1.8273 3.1644 4.1715
0.0000 6.3283 4.1612
-3.6371 4.2102 8.3335
0.0000 4.2401 8.3334
3.6371 4.2102 8.3335
-3.6371 4.2285 1.8515
0.0000 4.1987 1.8517
3.6371 4.2285 1.8515
```

Calculated formation energy = -19.0 eV per formula unit
Energy with MP2020 corrections = -161.4 eV/cell
DFT total energy = -7.887 eV per atom



(6)
First-principles (PBE) data for NaHf6N6Cl6 after structural relaxation, as listed in Materials Project.

```
NaHf6N6Cl6
1.0
5.4222 3.1306 0.0000
-5.4222 3.1306 0.0000
0.0000 2.0870 9.9696
Na Hf N Cl
1 6 6 6
Cartesian
0.0000 0.0000 0.0000
0.0000 2.0852 3.7404
-1.8059 5.2187 3.7427
1.8059 5.2187 3.7427
-1.8059 3.1296 6.2269
1.8059 3.1296 6.2269
0.0000 6.2631 6.2291
0.0000 2.0870 5.8721
-1.8071 5.2178 5.8753
1.8071 5.2178 5.8753
-1.8071 3.1305 4.0942
1.8071 3.1305 4.0942
0.0000 6.2613 4.0975
-3.6135 4.1734 8.1466
0.0000 4.1755 8.1466
3.6135 4.1734 8.1466
-3.6135 4.1749 1.8230
0.0000 4.1728 1.8230
3.6135 4.1749 1.8230
```

Calculated formation energy = -38.0 eV per formula unit
Energy with MP2020 corrections = -160.2 eV/cell
DFT total energy = -8.237 eV per atom